[1]
Fe8N3 | PBE | optimized geometry

Properties
ρ (g/cm³): 7.4
DFT formation energy (eV/atom): -0.15
E (eV per atom): -8.490
Volume (Å³/atom): 9.92
Space-group type: C2

```
data_Fe8N3
_chemical_formula_sum 'Fe24 N9'
_cell_length_a 9.184
_cell_length_b 9.184
_cell_length_c 4.684
_cell_angle_alpha 90.01
_cell_angle_beta 90.01
_cell_angle_gamma 124.07
_space_group_name_H-M_alt 'P 1'
_space_group_IT_number 1
loop_
_space_group_symop_operation_xyz
'x,y,z'
loop_
_atom_site_label
_atom_site_fract_x
_atom_site_fract_y
_atom_site_fract_z
Fe1 0.036 0.211 0.661
Fe2 0.038 0.710 0.828
Fe3 0.118 0.629 0.338
Fe4 0.120 0.125 0.171
Fe5 0.204 0.544 0.834
Fe6 0.208 0.041 0.661
Fe7 0.289 0.461 0.334
Fe8 0.290 0.962 0.172
Fe9 0.371 0.882 0.662
Fe10 0.374 0.374 0.837
Fe11 0.456 0.796 0.166
Fe12 0.457 0.296 0.328
Fe13 0.538 0.214 0.837
Fe14 0.539 0.711 0.666
Fe15 0.625 0.127 0.335
Fe16 0.626 0.626 0.163
Fe17 0.704 0.543 0.672
Fe18 0.705 0.046 0.826
Fe19 0.786 0.462 0.163
Fe20 0.789 0.964 0.339
Fe21 0.873 0.375 0.665
Fe22 0.875 0.880 0.829
Fe23 0.954 0.295 0.174
Fe24 0.959 0.792 0.339
N1 0.084 0.916 0.000
N2 0.247 0.252 0.494
N3 0.327 0.673 0.500
N4 0.417 0.583 0.000
N5 0.497 0.004 0.001
N6 0.664 0.336 0.500
N7 0.748 0.753 0.506
N8 0.910 0.090 0.000
N9 0.996 0.503 0.999
```



[2]
TbZn | PBE | optimized geometry

Properties
ρ (g/cm³): 8.1
DFT formation energy (eV/atom): -0.34
E (eV per atom): -3.291
Volume (Å³/atom): 23.05
Space-group type: Pm-3m

```
data_TbZn
_chemical_formula_sum 'Tb1 Zn1'
_cell_length_a 3.585
_cell_length_b 3.585
_cell_length_c 3.585
_cell_angle_alpha 90.00
_cell_angle_beta 90.00
_cell_angle_gamma 90.00
_space_group_name_H-M_alt 'P 1'
_space_group_IT_number 1
loop_
_space_group_symop_operation_xyz
'x,y,z'
loop_
_atom_site_label
_atom_site_fract_x
_atom_site_fract_y
_atom_site_fract_z
Tb1 0.000 0.000 0.000
Zn1 0.500 0.500 0.500
```